# 1
The following is a PBE calculation of a relaxed Na5TiGa3Si3S3O24 crystal, from the Materials Project database.

```
data_Na5TiGa3Si3S3O24
_chemical_formula_sum 'Na15 Ti3 Ga9 Si9 S9 O72'
_symmetry_space_group_name_H-M 'P 1'
_symmetry_Int_Tables_number 1
_symmetry_space_group_name_Hall 'P 1'
_cell_length_a 8.824
_cell_length_b 8.843
_cell_length_c 22.131
_cell_angle_alpha 90.48
_cell_angle_beta 90.61
_cell_angle_gamma 120.06
loop_
_atom_site_label
_atom_site_type_symbol
_atom_site_fract_x
_atom_site_fract_y
_atom_site_fract_z
Na1 Na 0.323 0.642 0.665
Na2 Na 0.697 0.026 0.913
Na3 Na 0.667 0.960 0.585
Na4 Na 0.631 0.634 0.745
Na5 Na 0.002 0.626 0.248
Na6 Na 0.974 0.679 0.920
Na7 Na 0.318 0.644 0.162
Na8 Na 0.639 0.002 0.254
Na9 Na 0.653 0.323 0.832
Na10 Na 0.367 0.009 0.755
Na11 Na 0.658 0.321 0.332
Na12 Na 0.011 0.996 0.000
Na13 Na 0.008 0.988 0.502
Na14 Na 0.704 0.681 0.421
Na15 Na 0.964 0.301 0.411
O1 O 0.788 0.815 0.197
O2 O 0.464 0.309 0.030
O3 O 0.159 0.645 0.077
O4 O 0.849 0.502 0.426
O5 O 0.301 0.452 0.471
O6 O 0.643 0.511 0.645
O7 O 0.164 0.194 0.687
O8 O 0.206 0.174 0.087
O9 O 0.685 0.149 0.031
O10 O 0.970 0.176 0.584
O11 O 0.844 0.824 0.588
O12 O 0.360 0.868 0.578
O13 O 0.843 0.529 0.743
O14 O 0.156 0.980 0.908
O15 O 0.281 0.832 0.973
O16 O 0.490 0.353 0.140
O17 O 0.964 0.779 0.805
O18 O 0.020 0.200 0.913
O19 O 0.204 0.157 0.806
O20 O 0.028 0.189 0.191
O21 O 0.825 0.307 0.244
O22 O 0.687 0.525 0.525
O23 O 0.135 0.494 0.578
O24 O 0.111 0.617 0.356
O25 O 0.524 0.701 0.977
O26 O 0.886 0.524 0.146
O27 O 0.874 0.358 0.637
O28 O 0.469 0.161 0.243
O29 O 0.158 0.690 0.757
O30 O 0.366 0.868 0.857
O31 O 0.033 0.818 0.697
O32 O 0.531 0.691 0.255
O33 O 0.178 0.490 0.256
O34 O 0.646 0.497 0.925
O35 O 0.644 0.154 0.424
O36 O 0.493 0.358 0.424
O37 O 0.482 0.118 0.639
O38 O 0.967 0.170 0.310
O39 O 0.303 0.483 0.757
O40 O 0.639 0.119 0.141
O41 O 0.178 0.968 0.195
O42 O 0.212 0.028 0.305
O43 O 0.547 0.834 0.474
O44 O 0.819 0.986 0.411
O45 O 0.491 0.650 0.577
O46 O 0.313 0.847 0.253
O47 O 0.168 0.694 0.476
O48 O 0.506 0.636 0.857
O49 O 0.835 0.528 0.026
O50 O 0.683 0.525 0.243
O51 O 0.868 0.360 0.923
O52 O 0.782 0.953 0.690
O53 O 0.516 0.149 0.926
O54 O 0.125 0.488 0.864
O55 O 0.466 0.151 0.530
O56 O 0.850 0.312 0.527
O57 O 0.370 0.486 0.363
O58 O 0.814 0.776 0.306
O59 O 0.365 0.491 0.080
O60 O 0.178 0.199 0.410
O61 O 0.828 0.030 0.088
O62 O 0.515 0.833 0.756
O63 O 0.200 0.027 0.586
O64 O 0.152 0.456 0.974
O65 O 0.482 0.320 0.745
O66 O 0.684 0.177 0.741
O67 O 0.502 0.863 0.354
O68 O 0.019 0.843 0.408
O69 O 0.816 0.840 0.912
O70 O 0.511 0.865 0.080
O71 O 0.980 0.827 0.090
O72 O 0.826 0.032 0.812
Ga1 Ga 0.695 0.341 0.179
Ga2 Ga 0.986 0.994 0.652
Ga3 Ga 0.316 0.657 0.319
Ga4 Ga 0.650 0.331 0.688
Ga5 Ga 0.007 0.005 0.144
Ga6 Ga 0.989 0.997 0.353
Ga7 Ga 0.347 0.680 0.516
Ga8 Ga 0.009 0.013 0.851
Ga9 Ga 0.329 0.686 0.016
S1 S 0.334 0.375 0.417
S2 S 0.373 0.044 0.582
S3 S 0.667 0.041 0.084
S4 S 0.000 0.705 0.750
S5 S 0.962 0.339 0.584
S6 S 0.048 0.379 0.918
S7 S 0.292 0.006 0.249
S8 S 0.703 0.702 0.249
S9 S 0.381 0.335 0.086
Si1 Si 0.053 0.679 0.417
Si2 Si 0.008 0.289 0.249
Si3 Si 0.666 0.627 0.586
Si4 Si 0.330 0.962 0.916
Si5 Si 0.621 0.671 0.920
Si6 Si 0.717 0.013 0.750
Si7 Si 0.618 0.957 0.415
Si8 Si 0.971 0.636 0.085
Si9 Si 0.278 0.285 0.748
Ti1 Ti 0.355 0.674 0.812
Ti2 Ti 0.680 0.347 0.479
Ti3 Ti 0.660 0.349 0.980
```

- Formation energy: -2.42 eV/atom
- SG: P1
- Total DFT energy (no corrections): -747.236 eV for the cell shown
- Theoretical density: 3.12 g/cm3

***

# 2
The following is a PBE calculation of a relaxed Na3Ti3GaSi3S3O24 crystal, from the Materials Project database.

```
data_Na3Ti3GaSi3S3O24
_chemical_formula_sum 'Na9 Ti9 Ga3 Si9 S9 O72'
_symmetry_space_group_name_H-M 'P 1'
_symmetry_Int_Tables_number 1
_symmetry_space_group_name_Hall 'P 1'
_cell_length_a 8.720
_cell_length_b 8.775
_cell_length_c 22.375
_cell_angle_alpha 89.92
_cell_angle_beta 90.14
_cell_angle_gamma 120.10
loop_
_atom_site_label
_atom_site_type_symbol
_atom_site_fract_x
_atom_site_fract_y
_atom_site_fract_z
Si1 Si 0.293 0.283 0.751
Si2 Si 0.618 0.945 0.417
Si3 Si 0.961 0.630 0.084
Si4 Si 0.624 0.674 0.916
Si5 Si 0.339 0.371 0.416
Si6 Si 0.388 0.337 0.087
Si7 Si 0.006 0.713 0.747
Si8 Si 0.954 0.334 0.585
Si9 Si 0.989 0.291 0.250
O1 O 0.031 0.192 0.194
O2 O 0.832 0.532 0.025
O3 O 0.303 0.837 0.256
O4 O 0.507 0.867 0.077
O5 O 0.812 0.305 0.243
O6 O 0.125 0.633 0.363
O7 O 0.295 0.465 0.472
O8 O 0.192 0.163 0.809
O9 O 0.822 0.795 0.306
O10 O 0.187 0.163 0.091
O11 O 0.492 0.857 0.358
O12 O 0.683 0.532 0.248
O13 O 0.863 0.365 0.642
O14 O 0.889 0.507 0.142
O15 O 0.498 0.362 0.148
O16 O 0.972 0.155 0.590
O17 O 0.176 0.976 0.911
O18 O 0.688 0.533 0.531
O19 O 0.307 0.848 0.971
O20 O 0.030 0.202 0.911
O21 O 0.027 0.826 0.408
O22 O 0.498 0.131 0.921
O23 O 0.177 0.970 0.196
O24 O 0.522 0.693 0.973
O25 O 0.166 0.201 0.691
O26 O 0.827 0.522 0.745
O27 O 0.815 0.970 0.413
O28 O 0.864 0.354 0.922
O29 O 0.797 0.819 0.197
O30 O 0.972 0.821 0.093
O31 O 0.175 0.487 0.256
O32 O 0.364 0.496 0.357
O33 O 0.967 0.183 0.312
O34 O 0.489 0.311 0.741
O35 O 0.502 0.644 0.856
O36 O 0.824 0.024 0.090
O37 O 0.633 0.120 0.137
O38 O 0.534 0.698 0.256
O39 O 0.869 0.507 0.422
O40 O 0.125 0.486 0.862
O41 O 0.835 0.308 0.524
O42 O 0.153 0.697 0.471
O43 O 0.695 0.154 0.029
O44 O 0.201 0.023 0.304
O45 O 0.641 0.494 0.922
O46 O 0.461 0.157 0.246
O47 O 0.151 0.510 0.575
O48 O 0.485 0.126 0.638
O49 O 0.646 0.147 0.424
O50 O 0.163 0.180 0.410
O51 O 0.516 0.828 0.475
O52 O 0.361 0.508 0.077
O53 O 0.316 0.483 0.758
O54 O 0.474 0.303 0.027
O55 O 0.821 0.849 0.909
O56 O 0.153 0.462 0.971
O57 O 0.028 0.839 0.690
O58 O 0.690 0.157 0.745
O59 O 0.519 0.366 0.426
O60 O 0.821 0.028 0.805
O61 O 0.506 0.643 0.577
O62 O 0.183 0.699 0.759
O63 O 0.157 0.657 0.070
O64 O 0.358 0.867 0.577
O65 O 0.536 0.839 0.756
O66 O 0.634 0.521 0.640
O67 O 0.355 0.868 0.862
O68 O 0.792 0.970 0.697
O69 O 0.200 0.027 0.587
O70 O 0.461 0.153 0.529
O71 O 0.826 0.801 0.588
O72 O 0.966 0.803 0.807
Ti1 Ti 0.015 0.017 0.647
Ti2 Ti 0.324 0.649 0.811
Ti3 Ti 0.340 0.659 0.025
Ti4 Ti 0.332 0.649 0.519
Ti5 Ti 0.665 0.358 0.981
Ti6 Ti 0.338 0.661 0.314
Ti7 Ti 0.661 0.314 0.478
Ti8 Ti 0.015 0.015 0.142
Ti9 Ti 0.005 0.986 0.852
S1 S 0.666 0.046 0.083
S2 S 0.379 0.043 0.584
S3 S 0.285 0.996 0.251
S4 S 0.338 0.954 0.917
S5 S 0.046 0.671 0.416
S6 S 0.667 0.623 0.583
S7 S 0.713 0.002 0.751
S8 S 0.043 0.375 0.917
S9 S 0.716 0.716 0.251
Na1 Na 0.360 0.361 0.245
Na2 Na 0.998 0.994 0.000
Na3 Na 0.669 0.328 0.330
Na4 Na 0.312 0.659 0.665
Na5 Na 0.637 0.631 0.751
Na6 Na 0.666 0.330 0.833
Na7 Na 0.997 0.998 0.499
Na8 Na 0.969 0.295 0.415
Na9 Na 0.318 0.667 0.165
Ga1 Ga 0.691 0.346 0.181
Ga2 Ga 0.992 0.014 0.354
Ga3 Ga 0.681 0.345 0.689
```

- Formation energy: -2.66 eV/atom
- SG: P1
- Total DFT energy (no corrections): -779.799 eV for the cell shown
- Theoretical density: 2.85 g/cm3

***

# 3
The following is a PBE calculation of a relaxed NaTiGaSiS2O12 crystal, from the Materials Project database.

```
data_NaTiGaSiS2O12
_chemical_formula_sum 'Na6 Ti6 Ga6 Si6 S12 O72'
_symmetry_space_group_name_H-M 'P 1'
_symmetry_Int_Tables_number 1
_symmetry_space_group_name_Hall 'P 1'
_cell_length_a 8.602
_cell_length_b 8.646
_cell_length_c 22.388
_cell_angle_alpha 89.63
_cell_angle_beta 90.00
_cell_angle_gamma 119.83
loop_
_atom_site_label
_atom_site_type_symbol
_atom_site_fract_x
_atom_site_fract_y
_atom_site_fract_z
O1 O 0.695 0.175 0.743
O2 O 0.307 0.845 0.970
O3 O 0.167 0.967 0.910
O4 O 0.821 0.795 0.304
O5 O 0.514 0.361 0.421
O6 O 0.312 0.819 0.259
O7 O 0.651 0.140 0.424
O8 O 0.698 0.533 0.244
O9 O 0.354 0.843 0.575
O10 O 0.846 0.309 0.528
O11 O 0.364 0.503 0.356
O12 O 0.845 0.547 0.028
O13 O 0.514 0.885 0.363
O14 O 0.835 0.030 0.808
O15 O 0.458 0.161 0.525
O16 O 0.119 0.636 0.363
O17 O 0.033 0.819 0.695
O18 O 0.805 0.823 0.911
O19 O 0.835 0.533 0.744
O20 O 0.635 0.134 0.142
O21 O 0.308 0.469 0.756
O22 O 0.847 0.361 0.921
O23 O 0.156 0.186 0.409
O24 O 0.504 0.638 0.577
O25 O 0.161 0.469 0.256
O26 O 0.463 0.309 0.028
O27 O 0.018 0.823 0.411
O28 O 0.480 0.175 0.243
O29 O 0.530 0.689 0.255
O30 O 0.472 0.311 0.744
O31 O 0.640 0.512 0.637
O32 O 0.507 0.819 0.759
O33 O 0.864 0.501 0.426
O34 O 0.195 0.030 0.308
O35 O 0.873 0.364 0.637
O36 O 0.638 0.501 0.926
O37 O 0.786 0.819 0.195
O38 O 0.173 0.477 0.975
O39 O 0.133 0.496 0.577
O40 O 0.134 0.638 0.077
O41 O 0.538 0.845 0.470
O42 O 0.165 0.965 0.190
O43 O 0.210 0.177 0.804
O44 O 0.978 0.803 0.088
O45 O 0.031 0.186 0.909
O46 O 0.156 0.699 0.471
O47 O 0.544 0.699 0.971
O48 O 0.499 0.134 0.642
O49 O 0.974 0.795 0.804
O50 O 0.140 0.503 0.856
O51 O 0.030 0.212 0.196
O52 O 0.363 0.496 0.077
O53 O 0.371 0.885 0.863
O54 O 0.171 0.019 0.594
O55 O 0.872 0.512 0.137
O56 O 0.160 0.689 0.755
O57 O 0.974 0.174 0.589
O58 O 0.800 0.967 0.410
O59 O 0.848 0.019 0.094
O60 O 0.201 0.174 0.089
O61 O 0.825 0.803 0.588
O62 O 0.489 0.843 0.075
O63 O 0.182 0.212 0.696
O64 O 0.840 0.311 0.244
O65 O 0.800 0.965 0.690
O66 O 0.489 0.140 0.924
O67 O 0.491 0.364 0.137
O68 O 0.703 0.161 0.025
O69 O 0.702 0.547 0.528
O70 O 0.517 0.636 0.863
O71 O 0.967 0.177 0.304
O72 O 0.305 0.477 0.475
Na1 Na 0.336 0.675 0.168
Na2 Na 0.338 0.675 0.668
Na3 Na 0.675 0.334 0.835
Na4 Na 0.659 0.334 0.335
Na5 Na 0.008 0.004 0.502
Na6 Na 0.996 0.004 0.002
S1 S 0.334 0.958 0.917
S2 S 0.711 0.710 0.250
S3 S 0.380 0.332 0.082
S4 S 0.624 0.958 0.417
S5 S 0.952 0.332 0.582
S6 S 0.622 0.662 0.917
S7 S 0.953 0.622 0.083
S8 S 0.040 0.662 0.417
S9 S 0.002 0.291 0.250
S10 S 0.289 0.291 0.750
S11 S 0.669 0.622 0.583
S12 S 0.999 0.710 0.750
Si1 Si 0.705 0.987 0.748
Si2 Si 0.283 0.987 0.248
Si3 Si 0.341 0.388 0.415
Si4 Si 0.365 0.038 0.583
Si5 Si 0.046 0.388 0.915
Si6 Si 0.673 0.038 0.083
Ti1 Ti 0.657 0.307 0.688
Ti2 Ti 0.332 0.664 0.521
Ti3 Ti 0.992 0.015 0.855
Ti4 Ti 0.650 0.307 0.188
Ti5 Ti 0.331 0.664 0.021
Ti6 Ti 0.024 0.015 0.355
Ga1 Ga 0.641 0.326 0.481
Ga2 Ga 0.685 0.326 0.981
Ga3 Ga 0.331 0.671 0.814
Ga4 Ga 0.996 0.994 0.149
Ga5 Ga 0.340 0.671 0.314
Ga6 Ga 0.998 0.994 0.649
```

- Formation energy: -2.44 eV/atom
- SG: Cc
- Total DFT energy (no corrections): -725.770 eV for the cell shown
- Theoretical density: 2.93 g/cm3